# 1
DFT (PBE+U) results for crystalline Li2Cr2O7 at its relaxed geometry.

Output
For the total moment, the calculation gives 0.00 μB per atom. For the formation energy from the elements, the calculation gives -1860 meV per atom. Its corrected total energy (MP2020 scheme) is -7.111 eV/atom.

Geometry as CIF:
```
data_Li2Cr2O7
_cell_length_a 14.0879
_cell_length_b 7.6120
_cell_length_c 5.9306
_cell_angle_alpha 90.00
_cell_angle_beta 102.28
_cell_angle_gamma 90.00
_symmetry_space_group_name_H-M 'C 1 2/c 1'
_symmetry_Int_Tables_number 15
_symmetry_space_group_name_Hall '-C 2yc'
loop_
_atom_site_label
_atom_site_fract_x
_atom_site_fract_y
_atom_site_fract_z
Li1 0.1735 0.0694 0.3929
Cr1 0.1143 0.3103 0.8777
O1 0.0000 0.4041 0.7500
O2 0.1055 0.1959 0.1059
O3 0.1488 0.1746 0.6930
O4 0.1922 0.4693 0.9480
```

---

# 2
DFT (PBE+U) results for crystalline LiCr2O5 at its relaxed geometry.

Output
For the total moment, the calculation gives 0.37 μB per atom. For the formation energy from the elements, the calculation gives -1971 meV per atom. Its corrected total energy (MP2020 scheme) is -7.715 eV/atom.

Geometry as CIF:
```
data_LiCr2O5
_cell_length_a 8.2782
_cell_length_b 6.0850
_cell_length_c 8.0005
_cell_angle_alpha 90.00
_cell_angle_beta 90.00
_cell_angle_gamma 90.00
_symmetry_space_group_name_H-M 'P n m a'
_symmetry_Int_Tables_number 62
_symmetry_space_group_name_Hall '-P 2ac 2n'
loop_
_atom_site_label
_atom_site_fract_x
_atom_site_fract_y
_atom_site_fract_z
Li1 0.1586 0.2500 0.1548
Cr1 0.0000 0.0000 0.5000
Cr2 0.1663 0.7500 0.1454
O1 0.0229 0.7500 0.0077
O2 0.0540 0.2500 0.3678
O3 0.0888 0.7500 0.3503
O4 0.2168 0.0226 0.6180
```

---

# 3
DFT (PBE+U) results for crystalline Li6Cr2O7 at its relaxed geometry.

Output
For the total moment, the calculation gives 0.27 μB per atom. For the formation energy from the elements, the calculation gives -2156 meV per atom. Its corrected total energy (MP2020 scheme) is -6.516 eV/atom.

Geometry as CIF:
```
data_Li6Cr2O7
_cell_length_a 7.8702
_cell_length_b 5.0589
_cell_length_c 9.1037
_cell_angle_alpha 90.00
_cell_angle_beta 115.86
_cell_angle_gamma 90.00
_symmetry_space_group_name_H-M 'P 1 2/c 1'
_symmetry_Int_Tables_number 13
_symmetry_space_group_name_Hall '-P 2yc'
loop_
_atom_site_label
_atom_site_fract_x
_atom_site_fract_y
_atom_site_fract_z
Li1 0.0702 0.1911 0.1656
Li2 0.3358 0.2010 0.6174
Li3 0.4192 0.1904 0.3561
Cr1 0.2194 0.3126 0.9042
O1 0.0000 0.1520 0.7500
O2 0.1891 0.3344 0.3937
O3 0.2803 0.1967 0.1062
O4 0.4049 0.2143 0.8571
```

---

# 4
DFT (PBE+U) results for crystalline Li2Cr4O13 at its relaxed geometry.

Output
For the total moment, the calculation gives 0.00 μB per atom. For the formation energy from the elements, the calculation gives -1648 meV per atom. Its corrected total energy (MP2020 scheme) is -7.266 eV/atom.

Geometry as CIF:
```
data_Li2Cr4O13
_cell_length_a 7.8223
_cell_length_b 8.2412
_cell_length_c 12.1260
_cell_angle_alpha 109.21
_cell_angle_beta 94.34
_cell_angle_gamma 94.02
_symmetry_space_group_name_H-M 'P -1'
_symmetry_Int_Tables_number 2
_symmetry_space_group_name_Hall '-P 1'
loop_
_atom_site_label
_atom_site_fract_x
_atom_site_fract_y
_atom_site_fract_z
Li1 0.1097 0.4886 0.3630
Li2 0.2878 0.0221 0.0195
Li3 0.3052 0.4686 0.6208
Cr1 0.0255 0.3513 0.0438
Cr2 0.0319 0.8478 0.3728
Cr3 0.2223 0.8306 0.6374
Cr4 0.3712 0.6430 0.9565
Cr5 0.3828 0.1803 0.3509
Cr6 0.4192 0.8282 0.3533
O1 0.0216 0.8256 0.2371
O2 0.0632 0.4199 0.1852
O3 0.0905 0.6525 0.5998
O4 0.0917 0.9599 0.5730
O5 0.1005 0.3069 0.6175
O6 0.1251 0.1806 0.9929
O7 0.1479 0.4994 0.9907
O8 0.1892 0.7761 0.9863
O9 0.2221 0.7345 0.3968
O10 0.2244 0.9227 0.7748
O11 0.2667 0.0174 0.3937
O12 0.2748 0.3458 0.4081
O13 0.3453 0.1178 0.2100
O14 0.3511 0.5632 0.8159
O15 0.3967 0.7432 0.2138
O16 0.4046 0.6940 0.6194
O17 0.4416 0.9687 0.6146
O18 0.4495 0.2791 0.5943
O19 0.4935 0.1838 0.0054
O20 0.5000 0.5000 0.0000
```

---

# 5
DFT (PBE+U) results for crystalline Li4CrO4 at its relaxed geometry.

Output
For the formation energy from the elements, the calculation gives -2174 meV per atom. Its corrected total energy (MP2020 scheme) is -6.294 eV/atom.

Geometry as CIF:
```
data_Li4CrO4
_cell_length_a 5.2021
_cell_length_b 5.2247
_cell_length_c 7.7896
_cell_angle_alpha 70.67
_cell_angle_beta 83.11
_cell_angle_gamma 68.04
_symmetry_space_group_name_H-M 'P -1'
_symmetry_Int_Tables_number 2
_symmetry_space_group_name_Hall '-P 1'
loop_
_atom_site_label
_atom_site_fract_x
_atom_site_fract_y
_atom_site_fract_z
Li1 0.2167 0.1089 0.2067
Li2 0.2400 0.9908 0.5600
Li3 0.2483 0.5833 0.4159
Li4 0.2592 0.7403 0.9957
Cr1 0.2201 0.3376 0.7736
O1 0.0013 0.1270 0.8065
O2 0.0259 0.6933 0.6253
O3 0.3391 0.3427 0.9768
O4 0.4861 0.1979 0.6176
```

---

# 6
DFT (PBE+U) results for crystalline Li2Cr2O7 at its relaxed geometry.

Output
For the total moment, the calculation gives 0.00 μB per atom. For the formation energy from the elements, the calculation gives -1805 meV per atom. Its corrected total energy (MP2020 scheme) is -7.056 eV/atom.

Geometry as CIF:
```
data_Li2Cr2O7
_cell_length_a 6.7107
_cell_length_b 6.8750
_cell_length_c 12.9858
_cell_angle_alpha 90.00
_cell_angle_beta 107.57
_cell_angle_gamma 90.00
_symmetry_space_group_name_H-M 'P 1 21/c 1'
_symmetry_Int_Tables_number 14
_symmetry_space_group_name_Hall '-P 2ybc'
loop_
_atom_site_label
_atom_site_fract_x
_atom_site_fract_y
_atom_site_fract_z
Li1 0.0471 0.1092 0.3861
Li2 0.2996 0.1744 0.1558
Cr1 0.1967 0.5717 0.3836
Cr2 0.3911 0.6730 0.0908
O1 0.0127 0.2079 0.1596
O2 0.1455 0.1207 0.9460
O3 0.2209 0.0085 0.5571
O4 0.2735 0.5071 0.2821
O5 0.3026 0.6631 0.6562
O6 0.3762 0.0977 0.3396
O7 0.4061 0.7124 0.4702
```

---

The highest corrected total energy (MP2020 scheme) belongs to which entry? Li4CrO4